Entry 1:
## Ba6La2Ga4O15 (PBE)

Data for a relaxed structure of Ba6La2Ga4O15.

Computed properties:
Total moment, μB per formula unit: 0.00
Volume, A^3/atom: 16.60
Uncorrected energy, eV per atom: -6.5485
Energy with MP2020 corrections, eV/atom: -6.930
ΔH_f (0 K), eV/atom: -2.941

abc: 11.9675 11.9675 7.2046
angles: 89.70 89.70 119.69
Closest atoms and distances in Å follow each position.
Sites, in units of the cell vectors:
O 0.6037 0.6674 0.4529  1 Ga 1.88
O 0.3912 0.0701 0.9725  1 Ga 1.88
Ba 0.0435 0.5211 0.1553  7 O 2.57-2.86
O 0.2599 0.4972 0.1454  2 Ga 1.95-2.17
O 0.8980 0.8080 0.7210  1 Ga 1.84
O 0.0913 0.8976 0.2191  1 Ga 1.84
Ga 0.6614 0.3315 0.4587  3 O 1.91-1.98
Ba 0.0005 0.9999 0.4933  6 O 2.57-2.82
Ba 0.6692 0.3345 0.0075  3 O 2.74-2.86
O 0.6674 0.6037 0.9529  1 Ga 1.88
O 0.8229 0.4138 0.3299  1 Ga 1.91
Ga 0.6442 0.8183 0.3183  4 O 1.84-1.93
Ba 0.8252 0.1731 0.3237  6 O 2.80-3.01
O 0.8976 0.0913 0.7191  1 Ga 1.84
O 0.1970 0.0991 0.7229  1 Ga 1.84
O 0.0665 0.6767 0.4719  1 Ga 1.89
La 0.4799 0.5200 0.1474  5 O 2.39-2.59
Ba 0.5211 0.0435 0.6553  7 O 2.57-2.86
O 0.3317 0.3972 0.4559  1 Ga 1.88
O 0.3972 0.3317 0.9559  1 Ga 1.88
O 0.9311 0.6070 0.9399  1 Ga 1.84
Ba 0.1708 0.3458 0.8235  7 O 2.82-3.14
Ga 0.1808 0.3579 0.3272  4 O 1.84-1.95
Ga 0.8183 0.6442 0.8183  4 O 1.84-1.93
O 0.5047 0.7475 0.1444  1 Ga 1.93
O 0.2572 0.7590 0.1465  1 Ga 1.94
O 0.7475 0.5047 0.6444  1 Ga 1.93
O 0.8080 0.8980 0.2210  1 Ga 1.84
La 0.5200 0.4799 0.6474  5 O 2.39-2.59
La 0.9579 0.4789 0.6523  7 O 2.43-2.70
O 0.1727 0.5835 0.8106  1 Ga 1.97
O 0.5813 0.4167 0.3196  1 Ga 1.98
La 0.4789 0.9579 0.1523  7 O 2.43-2.70
O 0.5835 0.1727 0.3106  1 Ga 1.97
Ga 0.8199 0.1763 0.8218  4 O 1.84-1.94
Ba 0.1731 0.8252 0.8237  6 O 2.80-3.01
Ga 0.1763 0.8199 0.3218  4 O 1.84-1.94
O 0.7590 0.2572 0.6465  1 Ga 1.94
Ba 0.8282 0.6532 0.3236  5 O 2.77-2.93
Ba 0.9999 0.0005 0.9933  6 O 2.57-2.82
O 0.4972 0.2599 0.6454  2 Ga 1.95-2.17
O 0.0991 0.1970 0.2229  1 Ga 1.84
O 0.3248 0.9335 0.4425  1 Ga 1.84
O 0.4138 0.8229 0.8299  1 Ga 1.91
O 0.4167 0.5813 0.8196  1 Ga 1.98
Ga 0.3315 0.6614 0.9587  3 O 1.91-1.98
Ba 0.3345 0.6692 0.5075  3 O 2.74-2.86
Ba 0.3458 0.1708 0.3235  7 O 2.82-3.14
Ga 0.3579 0.1808 0.8272  4 O 1.84-1.95
O 0.0701 0.3912 0.4725  1 Ga 1.88
O 0.6070 0.9311 0.4399  1 Ga 1.84
O 0.9335 0.3248 0.9425  1 Ga 1.84
Ba 0.6532 0.8282 0.8236  5 O 2.77-2.93
O 0.6767 0.0665 0.9719  1 Ga 1.89

Entry 2:
## Ba4LiGa5Se12 (PBE)

Data for a relaxed structure of Ba4LiGa5Se12.

Computed properties:
Total moment, μB per formula unit: 0.00
Volume, A^3/atom: 28.90
Uncorrected energy, eV per atom: -4.2431
Energy with MP2020 corrections, eV/atom: -4.501
ΔH_f (0 K), eV/atom: -1.470

abc: 6.5802 13.9009 13.9009
angles: 90.00 90.00 90.00
Closest atoms and distances in Å follow each position.
Sites, in units of the cell vectors:
Se 0.2090 0.2914 0.3034  2 Ga 2.44-2.47
Li 0.5000 0.0000 0.0000  4 Se 2.55
Se 0.7090 0.8034 0.7914  2 Ga 2.44-2.47
Se 0.7376 0.5993 0.5914  2 Ga 2.44-2.47, 1 Li 2.55
Ba 0.4518 0.3031 0.0212  7 Se 3.36-3.47
Se 0.7624 0.9007 0.0914  2 Ga 2.44-2.47, 1 Li 2.55
Se 0.0461 0.0135 0.3598  1 Ga 2.38
Se 0.4539 0.4865 0.8598  1 Ga 2.38
Se 0.5461 0.8598 0.5135  1 Ga 2.38
Ga 0.5000 0.5000 0.5000  4 Se 2.44
Ba 0.9518 0.4788 0.1969  7 Se 3.36-3.47
Se 0.2624 0.5914 0.4007  2 Ga 2.44-2.47, 1 Li 2.55
Se 0.9539 0.6402 0.0135  1 Ga 2.38
Ba 0.0482 0.8031 0.4788  7 Se 3.36-3.47
Ba 0.9518 0.5212 0.8031  7 Se 3.36-3.47
Se 0.2376 0.9086 0.9007  2 Ga 2.44-2.47, 1 Li 2.55
Se 0.7910 0.3034 0.7086  2 Ga 2.44-2.47
Se 0.7376 0.4007 0.4086  2 Ga 2.44-2.47, 1 Li 2.55
Ga 0.0525 0.1409 0.2459  4 Se 2.38-2.47
Ga 0.0525 0.8591 0.7541  4 Se 2.38-2.47
Se 0.2624 0.4086 0.5993  2 Ga 2.44-2.47, 1 Li 2.55
Se 0.7090 0.1966 0.2086  2 Ga 2.44-2.47
Se 0.2090 0.7086 0.6966  2 Ga 2.44-2.47
Ga 0.5525 0.7459 0.6409  4 Se 2.38-2.47
Se 0.7910 0.6966 0.2914  2 Ga 2.44-2.47
Se 0.2910 0.7914 0.1966  2 Ga 2.44-2.47
Se 0.0461 0.9865 0.6402  1 Ga 2.38
Ga 0.9475 0.2459 0.8591  4 Se 2.38-2.47
Ba 0.5482 0.9788 0.3031  7 Se 3.36-3.47
Se 0.7624 0.0993 0.9086  2 Ga 2.44-2.47, 1 Li 2.55
Li 0.0000 0.5000 0.5000  4 Se 2.55
Ba 0.0482 0.1969 0.5212  7 Se 3.36-3.47
Ba 0.5482 0.0212 0.6969  7 Se 3.36-3.47
Se 0.2376 0.0914 0.0993  2 Ga 2.44-2.47, 1 Li 2.55
Ga 0.4475 0.3591 0.7459  4 Se 2.38-2.47
Ga 0.5525 0.2541 0.3591  4 Se 2.38-2.47
Ga 0.0000 0.0000 0.0000  4 Se 2.44
Se 0.9539 0.3598 0.9865  1 Ga 2.38
Ga 0.4475 0.6409 0.2541  4 Se 2.38-2.47
Ga 0.9475 0.7541 0.1409  4 Se 2.38-2.47
Ba 0.4518 0.6969 0.9788  7 Se 3.36-3.47
Se 0.4539 0.5135 0.1402  1 Ga 2.38
Se 0.2910 0.2086 0.8034  2 Ga 2.44-2.47
Se 0.5461 0.1402 0.4865  1 Ga 2.38

Entry 3:
## Ba6Lu2Ga4O15 (PBE)

Data for a relaxed structure of Ba6Lu2Ga4O15.

Computed properties:
Total moment, μB per formula unit: 0.00
Volume, A^3/atom: 16.36
Uncorrected energy, eV per atom: -6.5946
Energy with MP2020 corrections, eV/atom: -6.976
ΔH_f (0 K), eV/atom: -3.017

abc: 5.9760 7.9990 18.4812
angles: 88.62 90.00 90.00
Closest atoms and distances in Å follow each position.
Sites, in units of the cell vectors:
O 0.9526 0.7313 0.8124  1 Ga 1.85
O 0.9920 0.7624 0.9956  1 Ga 1.90
Ba 0.6711 0.5000 0.7500  8 O 2.77-2.96
Ga 0.7546 0.7529 0.5579  4 O 1.87-1.90
O 0.2443 0.5307 0.0926  1 Ga 1.87
Ga 0.2454 0.2471 0.4421  4 O 1.87-1.90
O 0.4558 0.7493 0.8358  1 Ga 1.89
Ba 0.2442 0.5024 0.9217  2 O 2.52-2.81
Ga 0.7546 0.2471 0.9421  4 O 1.87-1.90
O 0.3210 0.6872 0.6821  1 Ga 1.81
O 0.7557 0.5307 0.5926  1 Ga 1.87
Lu 0.2583 0.7524 0.4102  6 O 2.17-2.33
Ga 0.2240 0.2299 0.7330  4 O 1.81-1.89
O 0.9920 0.2376 0.5044  1 Ga 1.90
O 0.0474 0.2687 0.1876  1 Ga 1.85
Ba 0.7558 0.4976 0.0783  2 O 2.52-2.81
O 0.4953 0.7635 0.9960  1 Ga 1.88
O 0.4953 0.2365 0.5040  1 Ga 1.88
Ga 0.7760 0.7701 0.2670  4 O 1.81-1.89
Ga 0.2454 0.7529 0.0579  4 O 1.87-1.90
O 0.0080 0.7624 0.4956  1 Ga 1.90
O 0.7557 0.4693 0.9074  1 Ga 1.87
Lu 0.7417 0.7524 0.9102  6 O 2.17-2.33
O 0.9526 0.2687 0.6876  1 Ga 1.85
O 0.3210 0.3128 0.8179  1 Ga 1.81
O 0.5047 0.2365 0.0040  1 Ga 1.88
O 0.2443 0.4693 0.4074  1 Ga 1.87
Ba 0.2442 0.4976 0.5783  2 O 2.52-2.81
Ba 0.2534 0.9735 0.5889  9 O 2.85-3.03
O 0.2424 0.9576 0.1056  1 Ga 1.88
Ba 0.2822 0.0000 0.2500  7 O 2.71-2.97
Lu 0.7417 0.2476 0.5898  6 O 2.17-2.33
Ba 0.7178 0.0000 0.7500  7 O 2.71-2.97
O 0.7576 0.9576 0.6056  1 Ga 1.88
Ga 0.2240 0.7701 0.7670  4 O 1.81-1.89
O 0.0080 0.2376 0.0044  1 Ga 1.90
Ba 0.2534 0.0265 0.9111  9 O 2.85-3.03
Ga 0.7760 0.2299 0.2330  4 O 1.81-1.89
O 0.7903 0.0000 0.2500  2 Ga 1.86
Ba 0.3289 0.5000 0.2500  8 O 2.77-2.96
O 0.5442 0.7493 0.3358  1 Ga 1.89
Lu 0.2583 0.2476 0.0898  6 O 2.17-2.33
O 0.6790 0.6872 0.1821  1 Ga 1.81
O 0.2097 0.0000 0.7500  2 Ga 1.86
O 0.5047 0.7635 0.4960  1 Ga 1.88
O 0.6790 0.3128 0.3179  1 Ga 1.81
Ba 0.7558 0.5024 0.4217  2 O 2.52-2.81
O 0.7576 0.0424 0.8944  1 Ga 1.88
Ba 0.7466 0.9735 0.0889  9 O 2.85-3.03
O 0.0474 0.7313 0.3124  1 Ga 1.85
Ba 0.7466 0.0265 0.4111  9 O 2.85-3.03
O 0.4558 0.2507 0.6642  1 Ga 1.89
O 0.2424 0.0424 0.3944  1 Ga 1.88
O 0.5442 0.2507 0.1642  1 Ga 1.89

Entry 4:
## BaMg14Ga (PBE)

Data for a relaxed structure of BaMg14Ga.

Computed properties:
Total moment, μB per formula unit: 0.00
Volume, A^3/atom: 24.67
Offset from the most stable computed form, eV per atom: 0.000
Uncorrected energy, eV per atom: -1.6751
ΔH_f (0 K), eV/atom: 0.034

abc: 6.6475 6.5049 10.4680
angles: 90.00 90.00 119.29
Closest atoms and distances in Å follow each position.
Sites, in units of the cell vectors:
Mg 0.3386 0.6781 0.3880  10 Mg 3.11-3.44, 1 Ga 3.25, 1 Ba 3.41
Mg 0.6676 0.3406 0.6250  12 Mg 3.08-3.39
Mg 0.8207 0.1604 0.3931  11 Mg 3.08-3.44, 1 Ba 3.39
Mg 0.1592 0.8296 0.6250  12 Mg 3.11-3.39
Mg 0.8446 0.6723 0.8914  11 Mg 3.19-3.40, 1 Ga 3.27
Mg 0.6676 0.8269 0.6250  12 Mg 3.08-3.39
Ga 0.2179 0.8589 0.1250  8 Mg 2.92-3.27
Mg 0.3386 0.1605 0.3880  10 Mg 3.11-3.44, 1 Ga 3.25, 1 Ba 3.41
Mg 0.3386 0.6781 0.8620  10 Mg 3.11-3.44, 1 Ga 3.25, 1 Ba 3.41
Mg 0.8446 0.6723 0.3586  11 Mg 3.19-3.40, 1 Ga 3.27
Mg 0.8207 0.1604 0.8569  11 Mg 3.08-3.44, 1 Ba 3.39
Mg 0.1681 0.3340 0.6250  12 Mg 3.15-3.35
Mg 0.3386 0.1605 0.8620  10 Mg 3.11-3.44, 1 Ga 3.25, 1 Ba 3.41
Mg 0.6432 0.8305 0.1250  1 Ga 2.92, 5 Mg 3.14-3.27
Mg 0.6432 0.3127 0.1250  1 Ga 2.92, 5 Mg 3.14-3.27
Ba 0.1481 0.3241 0.1250  2 Ga 3.28, 10 Mg 3.32-3.41

Entry 5:
## BaMg6Ga (PBE)

Data for a relaxed structure of BaMg6Ga.

Computed properties:
Total moment, μB per formula unit: 0.00
Volume, A^3/atom: 27.39
Offset from the most stable computed form, eV per atom: 0.000
Uncorrected energy, eV per atom: -1.8150
ΔH_f (0 K), eV/atom: 0.004

abc: 7.7527 7.7527 5.0157
angles: 90.00 90.00 133.38
Closest atoms and distances in Å follow each position.
Sites, in units of the cell vectors:
Mg 0.8212 0.6974 0.5000  1 Ga 2.88, 6 Mg 2.95-3.18
Ba 0.7947 0.2053 0.5000  2 Ga 3.38, 8 Mg 3.48-3.68
Mg 0.3026 0.1788 0.5000  1 Ga 2.88, 6 Mg 2.95-3.18
Mg 0.2033 0.7967 0.0000  8 Mg 3.26-3.55
Mg 0.6743 0.8154 0.0000  2 Ga 2.97, 5 Mg 3.00-3.17
Mg 0.1846 0.3257 0.0000  2 Ga 2.97, 5 Mg 3.00-3.17
Mg 0.6257 0.3743 0.0000  8 Mg 3.11-3.26, 2 Ba 3.48
Ga 0.3936 0.6064 0.5000  6 Mg 2.88-2.97